No. 1
# Cr3AsN2O13 | the Materials Project database | PBE+U | optimized geometry
data_Cr3AsN2O13
_cell_length_a 14.5558
_cell_length_b 9.8404
_cell_length_c 10.1367
_cell_angle_alpha 90.00
_cell_angle_beta 93.60
_cell_angle_gamma 90.00
_symmetry_space_group_name_H-M 'P 1 21/c 1'
_symmetry_Int_Tables_number 14
loop_
_symmetry_equiv_pos_as_xyz
'x,y,z'
'-x,-y,-z'
'-x,y+1/2,-z+1/2'
'x,-y+1/2,z+1/2'
loop_
_atom_site_label
_atom_site_type_symbol
_atom_site_fract_x
_atom_site_fract_y
_atom_site_fract_z
Cr1 Cr 0.0202 0.0689 0.2909
Cr2 Cr 0.3038 0.5580 0.8968
Cr3 Cr 0.3502 0.0739 0.9482
As1 As 0.1860 0.2100 0.4650
N1 N 0.1396 0.6682 0.5146
N2 N 0.4614 0.6934 0.1919
O1 O 0.0435 0.0738 0.1363
O2 O 0.0554 0.5752 0.8536
O3 O 0.0767 0.2100 0.3830
O4 O 0.0927 0.5760 0.2037
O5 O 0.1868 0.1633 0.6237
O6 O 0.2292 0.1253 0.9467
O7 O 0.2550 0.1096 0.3654
O8 O 0.2613 0.6684 0.7876
O9 O 0.2817 0.6097 0.0432
O10 O 0.3620 0.5805 0.5045
O11 O 0.3896 0.0786 0.8012
O12 O 0.4138 0.1747 0.0423
O13 O 0.4153 0.5560 0.8847
# Size of the total moment: 35.25 μB per cell
# Energy with MP2020 corrections: -497.76 eV/cell
# Calculated total energy: -5.76 eV per atom



No. 2
# Li2VCO5 | the Materials Project database | PBE+U | optimized geometry
data_Li2VCO5
_cell_length_a 2.9266
_cell_length_b 9.3892
_cell_length_c 12.0500
_cell_angle_alpha 90.01
_cell_angle_beta 90.15
_cell_angle_gamma 91.04
_symmetry_space_group_name_H-M 'P 1'
_symmetry_Int_Tables_number 1
loop_
_symmetry_equiv_pos_as_xyz
'x,y,z'
loop_
_atom_site_label
_atom_site_type_symbol
_atom_site_fract_x
_atom_site_fract_y
_atom_site_fract_z
Li1 Li 0.0000 0.0000 0.0000
Li2 Li 0.9998 0.5000 0.0628
Li3 Li 0.0020 0.9952 0.2815
Li4 Li 0.0051 0.4905 0.5000
Li5 Li 0.0071 0.4952 0.7813
Li6 Li 0.4908 0.9951 0.7816
Li7 Li 0.5016 0.4953 0.2814
Li8 Li 0.9974 0.9905 0.5629
V1 V 0.4991 0.7522 0.3944
V2 V 0.5042 0.2383 0.1684
V3 V 0.5037 0.2521 0.6684
V4 V 0.5048 0.7383 0.8944
C1 C 0.5002 0.7619 0.1427
C2 C 0.5012 0.2286 0.4201
C3 C 0.5022 0.7285 0.6426
C4 C 0.5025 0.2618 0.9202
O1 O 0.0254 0.1123 0.1384
O2 O 0.0268 0.6123 0.9244
O3 O 0.0267 0.6225 0.3605
O4 O 0.0394 0.3781 0.6382
O5 O 0.4896 0.8631 0.6433
O6 O 0.4923 0.1558 0.5132
O7 O 0.4950 0.3347 0.0132
O8 O 0.4949 0.8379 0.2345
O9 O 0.4960 0.8348 0.0496
O10 O 0.5010 0.1271 0.9196
O11 O 0.5026 0.3634 0.4195
O12 O 0.5074 0.6273 0.1433
O13 O 0.5084 0.1526 0.3284
O14 O 0.5100 0.6526 0.7345
O15 O 0.5115 0.3379 0.8284
O16 O 0.5108 0.6558 0.5496
O17 O 0.9668 0.1229 0.7023
O18 O 0.9754 0.8680 0.8605
O19 O 0.9770 0.3680 0.2024
O20 O 0.9774 0.8782 0.4245
# Size of the total moment: 4.00 μB per cell
# Energy with MP2020 corrections: -269.85 eV/cell
# Calculated total energy: -6.93 eV per atom
# Distance to the lowest polymorph of the same formula: 0 meV per atom



No. 3
# Mg14CoNiO16 | the Materials Project database | PBE+U | optimized geometry
data_Mg14CoNiO16
_cell_length_a 8.5171
_cell_length_b 8.5171
_cell_length_c 4.2331
_cell_angle_alpha 90.00
_cell_angle_beta 90.00
_cell_angle_gamma 90.00
_symmetry_space_group_name_H-M 'P 4/m m m'
_symmetry_Int_Tables_number 123
_symmetry_space_group_name_Hall '-P 4 2'
loop_
_atom_site_label
_atom_site_type_symbol
_atom_site_fract_x
_atom_site_fract_y
_atom_site_fract_z
Mg1 Mg 0.0000 0.2489 0.0000
Mg2 Mg 0.0000 0.5000 0.5000
Mg3 Mg 0.2494 0.5000 0.0000
Mg4 Mg 0.2500 0.2500 0.5000
Co1 Co 0.5000 0.5000 0.5000
Ni1 Ni 0.0000 0.0000 0.5000
O1 O 0.0000 0.0000 0.0000
O2 O 0.0000 0.2505 0.5000
O3 O 0.0000 0.5000 0.0000
O4 O 0.2466 0.5000 0.5000
O5 O 0.2502 0.2502 0.0000
O6 O 0.5000 0.5000 0.0000
# Size of the total moment: 5.00 μB per cell
# Energy with MP2020 corrections: -203.92 eV/cell
# Calculated total energy: -5.90 eV per atom
# Distance to the lowest polymorph of the same formula: 26 meV per atom



No. 4
# Fe3SbP6O24 | the Materials Project database | PBE+U | optimized geometry
data_Fe3SbP6O24
_cell_length_a 8.7078
_cell_length_b 8.7078
_cell_length_c 22.1503
_cell_angle_alpha 90.00
_cell_angle_beta 90.00
_cell_angle_gamma 120.00
_symmetry_space_group_name_H-M 'R 3'
_symmetry_Int_Tables_number 146
_symmetry_space_group_name_Hall 'R 3'
loop_
_atom_site_label
_atom_site_type_symbol
_atom_site_fract_x
_atom_site_fract_y
_atom_site_fract_z
Fe1 Fe 0.0000 0.0000 0.0000
Fe2 Fe 0.0000 0.0000 0.2132
Fe3 Fe 0.0000 0.0000 0.4995
Sb1 Sb 0.0000 0.0000 0.7127
P1 P 0.9996 0.2859 0.6064
P2 P 0.0480 0.6676 0.7732
O1 O 0.0281 0.8253 0.0496
O2 O 0.0283 0.8365 0.7677
O3 O 0.0301 0.1976 0.2663
O4 O 0.0328 0.2008 0.5511
O5 O 0.1623 0.4600 0.3314
O6 O 0.1619 0.6987 0.8294
O7 O 0.1643 0.4700 0.6137
O8 O 0.1642 0.6948 0.1134
# Size of the total moment: 33.00 μB per cell
# Energy with MP2020 corrections: -763.94 eV/cell
# Calculated total energy: -6.81 eV per atom



No. 5
# Sr2Mg2V3O14 | the Materials Project database | PBE+U | optimized geometry
data_Sr2Mg2V3O14
_cell_length_a 6.8204
_cell_length_b 15.5351
_cell_length_c 11.1533
_cell_angle_alpha 90.00
_cell_angle_beta 97.62
_cell_angle_gamma 90.00
_symmetry_space_group_name_H-M 'P 1 21/c 1'
_symmetry_Int_Tables_number 14
loop_
_symmetry_equiv_pos_as_xyz
'x,y,z'
'-x,-y,-z'
'-x,y+1/2,-z+1/2'
'x,-y+1/2,z+1/2'
loop_
_atom_site_label
_atom_site_type_symbol
_atom_site_fract_x
_atom_site_fract_y
_atom_site_fract_z
Sr1 Sr 0.0641 0.0030 0.2772
Sr2 Sr 0.3511 0.1403 0.9859
Mg1 Mg 0.0042 0.2238 0.2278
Mg2 Mg 0.3618 0.6719 0.9263
V1 V 0.1287 0.1361 0.5279
V2 V 0.4359 0.5147 0.2048
V3 V 0.4727 0.7087 0.1851
O1 O 0.0269 0.1413 0.3762
O2 O 0.0510 0.6637 0.8755
O3 O 0.0770 0.1254 0.1199
O4 O 0.0773 0.6346 0.5948
O5 O 0.1845 0.5786 0.5560
O6 O 0.2050 0.0317 0.5689
O7 O 0.2914 0.0195 0.8135
O8 O 0.2961 0.2429 0.7910
O9 O 0.3169 0.7313 0.2944
O10 O 0.3276 0.2029 0.5486
O11 O 0.3702 0.7324 0.5604
O12 O 0.3997 0.5637 0.8245
O13 O 0.3998 0.6077 0.0946
O14 O 0.4057 0.0904 0.2064
# Size of the total moment: 12.00 μB per cell
# Energy with MP2020 corrections: -589.76 eV/cell
# Calculated total energy: -6.67 eV per atom



No. 6
# Sr2CoO4 | the Materials Project database | PBE+U | optimized geometry
data_Sr2CoO4
_cell_length_a 6.8098
_cell_length_b 7.8672
_cell_length_c 8.6928
_cell_angle_alpha 116.88
_cell_angle_beta 97.07
_cell_angle_gamma 106.82
_symmetry_space_group_name_H-M 'P 1'
_symmetry_Int_Tables_number 1
loop_
_symmetry_equiv_pos_as_xyz
'x,y,z'
loop_
_atom_site_label
_atom_site_type_symbol
_atom_site_fract_x
_atom_site_fract_y
_atom_site_fract_z
Sr1 Sr 0.0000 0.0000 0.0000
Sr2 Sr 0.9999 0.2488 0.4977
Sr3 Sr 0.0001 0.5069 0.0001
Sr4 Sr 0.5632 0.2115 0.1402
Sr5 Sr 0.5640 0.4600 0.6389
Sr6 Sr 0.5636 0.7176 0.1405
Sr7 Sr 0.5642 0.9682 0.6396
Sr8 Sr 0.9995 0.7554 0.4974
Co1 Co 0.2812 0.2343 0.8213
Co2 Co 0.2819 0.4815 0.3156
Co3 Co 0.2827 0.7259 0.8033
Co4 Co 0.2827 0.9831 0.3185
O1 O 0.2803 0.2243 0.3235
O2 O 0.2805 0.9777 0.8240
O3 O 0.2812 0.1041 0.5619
O4 O 0.2816 0.3582 0.0678
O5 O 0.2821 0.4947 0.8249
O6 O 0.2824 0.6085 0.5678
O7 O 0.2826 0.7478 0.3248
O8 O 0.2830 0.8685 0.0891
O9 O 0.5893 0.3465 0.8942
O10 O 0.5893 0.5986 0.3957
O11 O 0.6003 0.1042 0.4006
O12 O 0.5998 0.8590 0.9073
O13 O 0.9632 0.6172 0.7470
O14 O 0.9641 0.8639 0.2421
O15 O 0.9730 0.1172 0.7396
O16 O 0.9747 0.3702 0.2426
# Size of the total moment: 0.00 μB per cell
# Energy with MP2020 corrections: -186.18 eV/cell
# Calculated total energy: -6.02 eV per atom
# Distance to the lowest polymorph of the same formula: 29 meV per atom



No. 7
# CsNaMo3O10 | the Materials Project database | PBE+U | optimized geometry
data_CsNaMo3O10
_cell_length_a 7.9459
_cell_length_b 7.6838
_cell_length_c 19.3390
_cell_angle_alpha 90.00
_cell_angle_beta 90.00
_cell_angle_gamma 90.00
_symmetry_space_group_name_H-M 'P n m a'
_symmetry_Int_Tables_number 62
loop_
_symmetry_equiv_pos_as_xyz
'x,y,z'
'-x,-y,-z'
'-x+1/2,-y,z+1/2'
'x+1/2,y,-z+1/2'
'x+1/2,-y+1/2,-z+1/2'
'-x+1/2,y+1/2,z+1/2'
'-x,y+1/2,-z'
'x,-y+1/2,z'
loop_
_atom_site_label
_atom_site_type_symbol
_atom_site_fract_x
_atom_site_fract_y
_atom_site_fract_z
Cs1 Cs 0.0896 0.2500 0.2265
Na1 Na 0.1847 0.2500 0.9455
Mo1 Mo 0.0952 0.0034 0.5877
Mo2 Mo 0.2365 0.2500 0.4548
O1 O 0.0031 0.5344 0.3328
O2 O 0.0513 0.7500 0.5750
O3 O 0.0696 0.7500 0.9967
O4 O 0.0933 0.2500 0.5590
O5 O 0.1570 0.0112 0.4697
O6 O 0.1931 0.0176 0.1088
O7 O 0.2154 0.7500 0.8663
# Size of the total moment: 0.00 μB per cell
# Energy with MP2020 corrections: -459.27 eV/cell
# Calculated total energy: -6.56 eV per atom



Calculated formation energy, -49.9; -220.8; -269.7; -209.6; -203.7; -224.2; -196.7 kJ per mole of atoms (same order as the records).
Calculated V, 362.3; 82.8; 307.1; 484.9; 292.8; 94.9; 295.2 Å³/f.u. (same order as the records).
Calculated mass density, 2.1; 3.1; 3.9; 2.9; 3.4; 5.2; 3.4 Mg/m³ (same order as the records).